Entry 1:
Compound: Ca3Ge4Ir4
Source: the Materials Project database
Functional: r2SCAN
Structure: relaxed

- SG = I-43m
- energy of formation from the pure elements (meV per atom) = -762

Cell and atoms, written as POSCAR:
```
Ca3Ge4Ir4
1.0
-3.7957 3.7957 3.7957
3.7957 -3.7957 3.7957
3.7957 3.7957 -3.7957
Ca Ge Ir
3 4 4
Direct
0.0000 0.5000 0.5000
0.5000 0.0000 0.5000
0.5000 0.5000 0.0000
0.6267 0.0000 0.0000
0.0000 0.6267 0.0000
0.0000 0.0000 0.6267
0.3733 0.3733 0.3733
0.2699 0.0000 0.0000
0.0000 0.2699 0.0000
0.0000 0.0000 0.2699
0.7301 0.7301 0.7301
```

Entry 2:
Compound: Pr3SiAgS7
Source: the Materials Project database
Functional: r2SCAN
Structure: relaxed

- SG = P6_3
- energy of formation from the pure elements (meV per atom) = -1750

Cell and atoms, written as POSCAR:
```
Pr3SiAgS7
1.0
-7.4832 6.8872 -2.1253
2.1795 -7.5621 -6.7833
-3.8859 -3.4281 2.5732
Pr Si Ag S
6 2 2 14
Direct
0.1222 0.3595 0.2504
0.8778 0.6405 0.7504
0.6405 0.7626 0.2504
0.2374 0.8778 0.2504
0.7626 0.1222 0.7504
0.3595 0.2374 0.7504
0.3333 0.6667 0.6611
0.6667 0.3333 0.1611
0.0000 0.0000 0.2912
0.0000 0.0000 0.7912
0.3333 0.6667 0.0244
0.6667 0.3333 0.5244
0.4078 0.5253 0.5184
0.5922 0.4747 0.0184
0.4747 0.8825 0.5184
0.1175 0.5922 0.5184
0.8825 0.4078 0.0184
0.5253 0.1175 0.0184
0.0891 0.2660 0.7644
0.9109 0.7340 0.2644
0.7340 0.8231 0.7644
0.1769 0.9109 0.7644
0.8231 0.0891 0.2644
0.2660 0.1769 0.2644
```

Entry 3:
Compound: Sn
Source: the Materials Project database
Functional: r2SCAN
Structure: relaxed

- SG = Pm-3n
- energy relative to the lowest polymorph listed for this composition (meV/atom) = 42
- energy of formation from the pure elements (meV per atom) = 42

Cell and atoms, written as POSCAR:
```
Sn
1.0
12.2342 0.0000 0.0000
0.0000 12.2342 0.0000
0.0000 0.0000 12.2342
Sn
46
Direct
0.5000 0.3830 0.1917
0.5000 0.6170 0.8083
0.3830 0.1917 0.5000
0.6170 0.1917 0.5000
0.1917 0.5000 0.3830
0.8083 0.5000 0.3830
0.0000 0.6917 0.1170
0.0000 0.3083 0.8830
0.2500 0.0000 0.5000
0.7500 0.0000 0.5000
0.0000 0.5000 0.2500
0.0000 0.5000 0.7500
0.5000 0.7500 0.0000
0.5000 0.2500 0.0000
0.1835 0.1835 0.1835
0.6835 0.3165 0.6835
0.6835 0.6835 0.3165
0.3165 0.6835 0.6835
0.8165 0.8165 0.1835
0.1835 0.8165 0.8165
0.8165 0.1835 0.8165
0.3165 0.3165 0.3165
0.8165 0.8165 0.8165
0.3165 0.6835 0.3165
0.3165 0.3165 0.6835
0.6835 0.3165 0.3165
0.1835 0.1835 0.8165
0.8165 0.1835 0.1835
0.1835 0.8165 0.1835
0.6835 0.6835 0.6835
0.0000 0.3083 0.1170
0.5000 0.3830 0.8083
0.5000 0.6170 0.1917
0.6170 0.8083 0.5000
0.3830 0.8083 0.5000
0.1917 0.5000 0.6170
0.8083 0.5000 0.6170
0.1170 0.0000 0.3083
0.3083 0.1170 0.0000
0.6917 0.8830 0.0000
0.1170 0.0000 0.6917
0.6917 0.1170 0.0000
0.8830 0.0000 0.3083
0.8830 0.0000 0.6917
0.3083 0.8830 0.0000
0.0000 0.6917 0.8830
```

Entry 4:
Compound: Te2Au
Source: the Materials Project database
Functional: r2SCAN
Structure: relaxed

- SG = Pc
- energy of formation from the pure elements (meV per atom) = -87

Cell and atoms, written as POSCAR:
```
Te2Au
1.0
4.5218 0.0000 0.0000
0.0000 8.4146 -3.0756
0.0000 0.0217 8.9020
Te Au
8 4
Direct
0.5892 0.3632 0.4177
0.0369 0.1320 0.0734
0.9631 0.6320 0.5734
0.5916 0.3894 0.8286
0.4084 0.8894 0.3286
0.4108 0.8632 0.9177
0.9706 0.1208 0.6735
0.0294 0.6208 0.1735
0.5293 0.3753 0.1226
0.9995 0.6268 0.8735
0.0005 0.1268 0.3735
0.4707 0.8753 0.6226
```

Entry 5:
Compound: Gd3CCl3
Source: the Materials Project database
Functional: r2SCAN
Structure: relaxed

- SG = C2
- energy of formation from the pure elements (meV per atom) = -1728

Cell and atoms, written as POSCAR:
```
Gd3CCl3
1.0
-5.3914 5.3903 5.3872
5.3903 -5.3914 5.3872
5.3948 5.3948 -5.3882
Gd C Cl
12 4 12
Direct
0.4830 0.7488 0.0167
0.7463 0.2325 0.2666
0.2325 0.2675 0.7500
0.4647 0.4820 0.2331
0.2688 0.0160 0.0354
0.2326 0.4642 0.4825
0.0180 0.0353 0.2669
0.0159 0.4841 0.7500
0.4840 0.2312 0.4646
0.7512 0.0170 0.4833
0.0358 0.2674 0.0175
0.2675 0.7538 0.2334
0.2503 0.2497 0.2500
0.9988 0.2508 0.5016
0.2492 0.5012 0.9984
0.5027 0.9973 0.2500
0.9935 0.9844 0.7434
0.7579 0.7421 0.2500
0.9829 0.7426 0.9919
0.2495 0.9932 0.5081
0.7425 0.9939 0.9858
0.5068 0.2505 0.9919
0.7431 0.2497 0.7579
0.5061 0.7575 0.5142
0.7574 0.5171 0.5081
0.2503 0.7569 0.7421
0.5156 0.5065 0.7566
0.9933 0.5067 0.2500
```

Entry 6:
Compound: Li2TlIn
Source: the Materials Project database
Functional: r2SCAN
Structure: relaxed

- SG = Fm-3m
- energy of formation from the pure elements (meV per atom) = -304

Cell and atoms, written as POSCAR:
```
Li2TlIn
1.0
-3.4864 3.1630 0.9952
-1.4994 3.0721 -3.3859
-4.3596 -0.5271 -1.9663
Li Tl In
2 1 1
Direct
0.2500 0.2500 0.2500
0.7500 0.7500 0.7500
0.0000 0.0000 0.0000
0.5000 0.5000 0.5000
```